[1]
Entry from the Materials Project database: a geometry-optimized BaNb6HO16 structure (PBE-GGA).

Unit cell a=11.851 b=11.851 c=11.851 alpha=161.26 beta=136.22 gamma=48.01
Element x y z (fractional)
H 0.000 0.000 0.000
O 0.547 0.704 0.843
O 0.213 0.713 0.500
O 0.990 0.153 0.837
Nb 0.240 0.240 0.000
O 0.263 0.433 0.830
O 0.915 0.415 0.500
Nb 0.760 0.760 0.000
O 0.398 0.567 0.830
O 0.138 0.296 0.843
O 0.737 0.567 0.170
O 0.602 0.433 0.170
Nb 0.323 0.629 0.694
O 0.316 0.153 0.163
O 0.010 0.847 0.163
O 0.684 0.847 0.837
Nb 0.935 0.629 0.306
O 0.787 0.287 0.500
O 0.085 0.585 0.500
O 0.862 0.704 0.157
Nb 0.677 0.371 0.306
Ba 0.500 0.000 0.500
Nb 0.065 0.371 0.694
O 0.453 0.296 0.157

Summary:
- M_tot (μB/f.u.) = 1.00
- space group = Immm, No. 71


[2]
Entry from the Materials Project database: a geometry-optimized Pu3Au structure (PBE-GGA).

Unit cell a=6.595 b=6.591 c=5.326 alpha=90.01 beta=90.00 gamma=120.07
Element x y z (fractional)
Pu 0.655 0.828 0.250
Au 0.333 0.667 0.750
Au 0.667 0.333 0.250
Pu 0.172 0.345 0.250
Pu 0.828 0.655 0.750
Pu 0.828 0.172 0.750
Pu 0.172 0.828 0.250
Pu 0.345 0.172 0.750

Summary:
- M_tot (μB/f.u.) = 18.07
- space group = Cmcm, No. 63


[3]
Entry from the Materials Project database: a geometry-optimized KTeO4 structure (PBE-GGA).

Unit cell a=6.635 b=7.758 c=19.276 alpha=77.83 beta=90.00 gamma=90.00
Element x y z (fractional)
O 0.302 0.493 0.995
O 0.296 0.813 0.388
O 0.464 0.310 0.784
O 0.002 0.761 0.654
K 0.542 0.496 0.394
O 0.802 0.507 0.505
O 0.027 0.401 0.635
K 0.458 0.504 0.606
O 0.964 0.690 0.716
Te 0.513 0.316 0.053
O 0.204 0.813 0.888
O 0.165 0.922 0.012
O 0.071 0.180 0.861
K 0.958 0.496 0.894
O 0.571 0.820 0.639
O 0.527 0.599 0.865
O 0.973 0.599 0.365
K 0.606 0.164 0.239
K 0.394 0.836 0.761
O 0.473 0.401 0.135
O 0.929 0.820 0.139
O 0.295 0.134 0.613
O 0.536 0.690 0.216
O 0.429 0.180 0.361
Te 0.487 0.684 0.947
Te 0.482 0.968 0.421
O 0.698 0.507 0.005
O 0.205 0.134 0.113
O 0.835 0.078 0.988
Te 0.518 0.032 0.579
Te 0.982 0.032 0.079
O 0.036 0.310 0.284
O 0.502 0.239 0.846
O 0.498 0.761 0.154
O 0.665 0.078 0.488
Te 0.013 0.684 0.447
O 0.998 0.239 0.346
O 0.795 0.866 0.887
O 0.704 0.187 0.612
K 0.894 0.164 0.739
O 0.796 0.187 0.112
K 0.106 0.836 0.261
O 0.335 0.922 0.512
O 0.705 0.866 0.387
K 0.042 0.504 0.106
Te 0.018 0.968 0.921
O 0.198 0.493 0.495
Te 0.987 0.316 0.553

Summary:
- M_tot (μB/f.u.) = 1.00
- space group = P2_1/c, No. 14


[4]
Entry from the Materials Project database: a geometry-optimized Y3Ru structure (PBE-GGA).

Unit cell a=6.348 b=7.359 c=9.270 alpha=90.00 beta=90.00 gamma=90.00
Element x y z (fractional)
Y 0.636 0.042 0.250
Y 0.330 0.676 0.065
Y 0.170 0.176 0.435
Y 0.830 0.824 0.935
Y 0.864 0.542 0.250
Y 0.670 0.324 0.935
Y 0.670 0.324 0.565
Ru 0.040 0.885 0.250
Y 0.170 0.176 0.065
Ru 0.960 0.115 0.750
Y 0.830 0.824 0.565
Y 0.136 0.458 0.750
Ru 0.460 0.385 0.250
Y 0.364 0.958 0.750
Ru 0.540 0.615 0.750
Y 0.330 0.676 0.435

Summary:
- space group = Pnma, No. 62


[5]
Entry from the Materials Project database: a geometry-optimized CrN2 structure (PBE-GGA).

Unit cell a=10.587 b=10.587 c=11.043 alpha=90.00 beta=90.00 gamma=120.00
Element x y z (fractional)
Cr 0.139 0.570 0.395
Cr 0.139 0.570 0.105
Cr 0.570 0.430 0.895
N 0.486 0.243 0.584
N 0.757 0.514 0.916
N 0.243 0.757 0.084
N 0.486 0.243 0.916
N 0.757 0.243 0.584
Cr 0.430 0.861 0.105
N 0.533 0.467 0.750
N 0.243 0.757 0.416
N 0.243 0.486 0.416
N 0.514 0.757 0.416
Cr 0.570 0.139 0.605
N 0.934 0.467 0.750
Cr 0.861 0.430 0.895
Cr 0.570 0.430 0.605
N 0.500 0.000 0.500
N 0.000 0.500 0.000
N 0.243 0.486 0.084
N 0.514 0.757 0.084
N 0.467 0.934 0.250
N 0.000 0.500 0.500
N 0.757 0.514 0.584
N 0.500 0.000 0.000
N 0.533 0.066 0.750
N 0.467 0.533 0.250
Cr 0.430 0.570 0.395
Cr 0.430 0.861 0.395
N 0.500 0.500 0.500
N 0.757 0.243 0.916
N 0.500 0.500 0.000
Cr 0.861 0.430 0.605
N 0.066 0.533 0.250
Cr 0.430 0.570 0.105
Cr 0.570 0.139 0.895

Summary:
- M_tot (μB/f.u.) = 0.00
- space group = P6_3/mmc, No. 194


[6]
Entry from the Materials Project database: a geometry-optimized BaMg14W structure (PBE-GGA).

Unit cell a=6.514 b=6.514 c=10.423 alpha=90.00 beta=90.00 gamma=120.00
Element x y z (fractional)
Mg 0.157 0.829 0.625
Mg 0.659 0.317 0.125
Mg 0.671 0.343 0.625
Mg 0.331 0.169 0.847
Ba 0.167 0.333 0.125
Mg 0.183 0.841 0.125
Mg 0.837 0.169 0.403
W 0.167 0.333 0.625
Mg 0.833 0.667 0.886
Mg 0.659 0.841 0.125
Mg 0.331 0.169 0.403
Mg 0.837 0.169 0.847
Mg 0.833 0.667 0.364
Mg 0.331 0.663 0.847
Mg 0.331 0.663 0.403
Mg 0.671 0.829 0.625

Summary:
- M_tot (μB/f.u.) = 1.04
- space group = P-6m2, No. 187


[7]
Entry from the Materials Project database: a geometry-optimized Gd4Ge3O13 structure (PBE-GGA).

Unit cell a=6.746 b=9.456 c=10.163 alpha=62.46 beta=87.89 gamma=69.77
Element x y z (fractional)
Ge 0.725 0.045 0.891
O 0.075 0.091 0.499
O 0.208 0.921 0.963
O 0.334 0.293 0.495
O 0.586 0.619 0.978
Gd 0.304 0.851 0.490
O 0.925 0.909 0.501
Ge 0.248 0.520 0.397
Gd 0.262 0.440 0.775
O 0.025 0.367 0.688
Gd 0.696 0.149 0.510
O 0.448 0.074 0.318
Gd 0.795 0.893 0.299
O 0.067 0.427 0.160
Gd 0.738 0.560 0.225
O 0.827 0.807 0.958
O 0.975 0.633 0.312
Ge 0.275 0.955 0.109
O 0.552 0.926 0.682
O 0.751 0.265 0.252
O 0.553 0.851 0.170
O 0.720 0.409 0.473
Gd 0.217 0.656 0.006
O 0.616 0.428 0.764
O 0.447 0.149 0.830
O 0.140 0.907 0.267
Gd 0.205 0.107 0.701
O 0.792 0.079 0.037
O 0.384 0.572 0.236
O 0.414 0.381 0.022
O 0.666 0.707 0.505
Ge 0.752 0.480 0.603
O 0.280 0.591 0.527
O 0.933 0.573 0.840
O 0.173 0.193 0.042
Ge 0.717 0.742 0.841
O 0.249 0.735 0.748
Ge 0.283 0.258 0.159
Gd 0.783 0.344 0.994
O 0.860 0.093 0.733

Summary:
- M_tot (μB/f.u.) = 27.00
- space group = P-1, No. 2


[8]
Entry from the Materials Project database: a geometry-optimized Ge structure (PBE-GGA).

Unit cell a=4.081 b=4.081 c=13.248 alpha=90.00 beta=90.00 gamma=120.00
Element x y z (fractional)
Ge 0.667 0.333 0.844
Ge 0.000 0.000 0.407
Ge 0.333 0.667 0.344
Ge 0.000 0.000 0.093
Ge 0.000 0.000 0.907
Ge 0.667 0.333 0.656
Ge 0.333 0.667 0.156
Ge 0.000 0.000 0.593

Summary:
- space group = P6_3/mmc, No. 194


[9]
Entry from the Materials Project database: a geometry-optimized BaYCuTe3 structure (PBE-GGA).

Unit cell a=7.817 b=7.817 c=11.450 alpha=90.00 beta=90.00 gamma=146.98
Element x y z (fractional)
Te 0.364 0.636 0.439
Cu 0.468 0.532 0.250
Te 0.636 0.364 0.939
Te 0.636 0.364 0.561
Ba 0.249 0.751 0.750
Ba 0.751 0.249 0.250
Y 0.000 0.000 0.000
Y 0.000 0.000 0.500
Cu 0.532 0.468 0.750
Te 0.930 0.070 0.750
Te 0.070 0.930 0.250
Te 0.364 0.636 0.061

Summary:
- M_tot (μB/f.u.) = 0.00
- space group = Cmcm, No. 63


[10]
Entry from the Materials Project database: a geometry-optimized Li4TiCu3P4O16 structure (PBE-GGA).

Unit cell a=6.059 b=4.816 c=10.363 alpha=89.38 beta=90.00 gamma=90.00
Element x y z (fractional)
Li 0.739 0.499 0.488
Li 0.261 0.499 0.488
P 0.000 0.593 0.898
O 0.000 0.810 0.556
O 0.000 0.698 0.037
O 0.000 0.244 0.411
Cu 0.000 0.464 0.216
P 0.500 0.414 0.092
O 0.296 0.280 0.164
O 0.792 0.790 0.347
O 0.704 0.280 0.164
Cu 0.500 0.540 0.788
O 0.500 0.733 0.088
P 0.500 0.069 0.599
O 0.000 0.277 0.881
O 0.713 0.183 0.672
Li 0.736 0.990 0.013
Cu 0.500 0.993 0.279
O 0.196 0.743 0.823
O 0.500 0.291 0.952
Ti 0.000 0.010 0.718
O 0.208 0.790 0.347
O 0.804 0.743 0.823
O 0.287 0.183 0.672
Li 0.264 0.990 0.013
P 0.000 0.925 0.408
O 0.500 0.750 0.598
O 0.500 0.218 0.467

Summary:
- M_tot (μB/f.u.) = 1.00
- space group = Pm, No. 6


[11]
Entry from the Materials Project database: a geometry-optimized Zr3Sb7Pd structure (PBE-GGA).

Unit cell a=3.991 b=14.727 c=17.793 alpha=90.00 beta=90.00 gamma=90.00
Element x y z (fractional)
Sb 0.250 0.676 0.593
Sb 0.750 0.180 0.216
Zr 0.750 0.689 0.154
Sb 0.250 0.147 0.728
Zr 0.250 0.911 0.392
Sb 0.750 0.570 0.464
Zr 0.250 0.471 0.369
Zr 0.250 0.189 0.346
Sb 0.250 0.195 0.519
Sb 0.750 0.647 0.772
Zr 0.750 0.811 0.654
Pd 0.250 0.690 0.434
Sb 0.250 0.820 0.784
Zr 0.750 0.971 0.131
Zr 0.250 0.029 0.869
Sb 0.750 0.439 0.929
Sb 0.750 0.853 0.272
Sb 0.750 0.519 0.251
Pd 0.750 0.190 0.066
Sb 0.250 0.070 0.036
Sb 0.750 0.981 0.751
Sb 0.250 0.561 0.071
Sb 0.250 0.680 0.284
Sb 0.250 0.305 0.019
Sb 0.750 0.805 0.481
Pd 0.250 0.810 0.934
Sb 0.250 0.824 0.093
Sb 0.250 0.430 0.536
Sb 0.250 0.481 0.749
Sb 0.250 0.019 0.249
Zr 0.750 0.411 0.108
Sb 0.750 0.324 0.407
Sb 0.750 0.930 0.964
Zr 0.750 0.529 0.631
Sb 0.750 0.061 0.429
Pd 0.750 0.310 0.566
Zr 0.250 0.589 0.892
Sb 0.750 0.320 0.716
Sb 0.750 0.176 0.907
Sb 0.250 0.939 0.571
Sb 0.250 0.353 0.228
Zr 0.750 0.089 0.608
Sb 0.750 0.695 0.981
Zr 0.250 0.311 0.846

Summary:
- space group = Pnma, No. 62


[12]
Entry from the Materials Project database: a geometry-optimized La3SbO3 structure (PBE-GGA).

Unit cell a=4.119 b=7.259 c=11.126 alpha=81.81 beta=79.33 gamma=73.52
Element x y z (fractional)
La 0.620 0.205 0.555
La 0.155 0.898 0.793
O 0.810 0.968 0.411
La 0.845 0.102 0.207
La 0.628 0.643 0.101
La 0.380 0.795 0.445
Sb 0.122 0.438 0.318
Sb 0.878 0.562 0.682
O 0.838 0.311 0.013
O 0.564 0.074 0.799
O 0.436 0.926 0.201
La 0.372 0.357 0.899
O 0.190 0.032 0.589
O 0.162 0.689 0.987

Summary:
- space group = C2/m, No. 12


[13]
Entry from the Materials Project database: a geometry-optimized KIO3 structure (PBE-GGA).

Unit cell a=9.081 b=9.081 c=9.081 alpha=89.12 beta=89.12 gamma=89.12
Element x y z (fractional)
O 0.535 0.721 0.220
I 0.225 0.738 0.722
O 0.277 0.222 0.531
I 0.725 0.725 0.725
K 0.971 0.990 0.484
O 0.526 0.723 0.765
K 0.488 0.982 0.473
I 0.722 0.225 0.738
I 0.220 0.730 0.236
O 0.765 0.526 0.723
O 0.025 0.776 0.271
O 0.271 0.025 0.776
O 0.027 0.779 0.727
O 0.267 0.774 0.525
I 0.236 0.220 0.730
O 0.779 0.727 0.027
O 0.774 0.525 0.267
K 0.484 0.971 0.990
O 0.531 0.277 0.222
K 0.979 0.979 0.979
I 0.738 0.722 0.225
O 0.721 0.220 0.535
K 0.480 0.480 0.480
K 0.473 0.488 0.982
O 0.033 0.221 0.726
O 0.033 0.215 0.278
O 0.776 0.271 0.025
O 0.221 0.726 0.033
O 0.278 0.033 0.215
O 0.727 0.027 0.779
I 0.730 0.236 0.220
O 0.525 0.267 0.774
K 0.982 0.473 0.488
O 0.723 0.765 0.526
I 0.229 0.229 0.229
O 0.726 0.033 0.221
K 0.990 0.484 0.971
O 0.222 0.531 0.277
O 0.215 0.278 0.033
O 0.220 0.535 0.721

Summary:
- space group = R3, No. 146


Let's list energy of formation in order: -69.1 -0.4 -6.9 -1.2 -0.1 3.9 -58.1 0.0 -8.8 -67.3 -6.0 -22.0 -6.8 eV/f.u..